Entry 1:
# Nd3Dy, optimized geometry, DFT PBE-GGA
data_Nd3Dy
_space_group_name_H-M_alt 'P 1'
_space_group_IT_number 1
_space_group_name_Hall 'P 1'
_cell_length_a 5.161
_cell_length_b 5.161
_cell_length_c 5.161
_cell_angle_alpha 90.00
_cell_angle_beta 90.00
_cell_angle_gamma 90.00
loop_
_atom_site_label
_atom_site_type_symbol
_atom_site_fract_x
_atom_site_fract_y
_atom_site_fract_z
_atom_site_occupancy
Nd1 Nd 0.000 0.500 0.500 1
Nd2 Nd 0.500 0.000 0.500 1
Nd3 Nd 0.500 0.500 0.000 1
Dy1 Dy 0.000 0.000 0.000 1
# **Mass density**: 7.189 Mg/m³
# **Space group**: Pm-3m (221)
# **Formation energy**: 9 meV/atom
# **E**: -4.719 eV per atom

Entry 2:
# Mn3SnH, optimized geometry, DFT PBE-GGA
data_Mn3SnH
_space_group_name_H-M_alt 'P 1'
_space_group_IT_number 1
_space_group_name_Hall 'P 1'
_cell_length_a 3.858
_cell_length_b 3.858
_cell_length_c 3.858
_cell_angle_alpha 90.00
_cell_angle_beta 90.00
_cell_angle_gamma 90.00
loop_
_atom_site_label
_atom_site_type_symbol
_atom_site_fract_x
_atom_site_fract_y
_atom_site_fract_z
_atom_site_occupancy
Mn1 Mn 0.500 0.000 0.000 1
Mn2 Mn 0.000 0.500 0.000 1
Mn3 Mn 0.000 0.000 0.500 1
Sn1 Sn 0.500 0.500 0.500 1
H1 H 0.000 0.000 0.000 1
# **Mass density**: 8.228 Mg/m³
# **Space group**: Pm-3m (221)
# **Formation energy**: -44 meV/atom
# **E**: -6.986 eV per atom